Here is an optimized crystal structure of ZnCuAsO5 from the Materials Project. Energies are from PBE-GGA.

a = 5.8754 Å, b = 7.7710 Å, c = 8.8130 Å
α = 90.00°, β = 90.00°, γ = 90.00°
With the nearest neighbours (Å) after each atom.
Positions (direct):
Zn1 0.0515 0.8083 0.6945  3 O 1.93-2.07
Zn2 0.4485 0.1917 0.1945  3 O 1.93-2.07
Zn3 0.9485 0.3083 0.8055  3 O 1.93-2.07
Zn4 0.5515 0.6917 0.3055  3 O 1.93-2.07
Cu1 0.2532 0.7506 0.0036  4 O 1.86-1.93
Cu2 0.2468 0.2494 0.5036  4 O 1.86-1.93
Cu3 0.7468 0.2506 0.4964  4 O 1.86-1.93
Cu4 0.7532 0.7494 0.9964  4 O 1.86-1.93
As1 0.4753 0.0946 0.8424  4 O 1.70-1.78
As2 0.0247 0.9054 0.3424  4 O 1.70-1.78
As3 0.5247 0.5946 0.6576  4 O 1.70-1.78
As4 0.9753 0.4054 0.1576  4 O 1.70-1.78
O1 0.5028 0.8936 0.9372  1 As 1.78, 2 Cu 1.92-1.93
O2 0.9972 0.1064 0.4372  1 As 1.78, 2 Cu 1.92-1.93
O3 0.4972 0.3936 0.5628  1 As 1.78, 2 Cu 1.92-1.93
O4 0.0028 0.6064 0.0628  1 As 1.78, 2 Cu 1.92-1.93
O5 0.4423 0.2452 0.9811  1 As 1.70
O6 0.0577 0.7548 0.4811  1 As 1.70
O7 0.5577 0.7452 0.5189  1 As 1.70
O8 0.9423 0.2548 0.0189  1 As 1.70
O9 0.7195 0.1199 0.7387  1 As 1.71
O10 0.7805 0.8801 0.2387  1 As 1.71
O11 0.2805 0.6199 0.7613  1 As 1.71
O12 0.2195 0.3801 0.2613  1 As 1.71
O13 0.2384 0.0790 0.7280  1 As 1.72
O14 0.2616 0.9210 0.2280  1 As 1.72
O15 0.7616 0.5790 0.7720  1 As 1.72
O16 0.7384 0.4210 0.2720  1 As 1.72
O17 0.0017 0.8623 0.9113  2 Cu 1.86-1.90, 1 Zn 1.98
O18 0.4983 0.1377 0.4113  2 Cu 1.86-1.90, 1 Zn 1.98
O19 0.9983 0.3623 0.5887  2 Cu 1.86-1.90, 1 Zn 1.98
O20 0.5017 0.6377 0.0887  2 Cu 1.86-1.90, 1 Zn 1.98

The value obtained for the polymorph energy (0 for the lowest one) is 88.6 meV/atom. For the total magnetization, the calculation gives 0.00 μB per cell. As for the space group: P2_12_12_1, No. 19. The MP2020-corrected energy comes out at -5.716 eV/atom. The value obtained for the total energy is -169.16 eV/cell.


Here is an optimized crystal structure of TlCuAs2PbS5 from the Materials Project. Energies are from PBE-GGA.

a = 8.0262 Å, b = 8.1811 Å, c = 9.1235 Å
α = 65.64°, β = 73.65°, γ = 64.14°
With the nearest neighbours (Å) after each atom.
Positions (direct):
Tl1 0.8054 0.1532 0.6256  3 S 3.04-3.41
Tl2 0.1946 0.8468 0.3744  3 S 3.04-3.41
Cu1 0.3815 0.2500 0.4062  3 S 2.26-2.30
Cu2 0.6185 0.7500 0.5938  3 S 2.26-2.30
As1 0.5954 0.0403 0.1414  3 S 2.26-2.36
As2 0.4046 0.9597 0.8586  3 S 2.26-2.36
As3 0.9531 0.6228 0.3131  3 S 2.27-2.32
As4 0.0469 0.3772 0.6869  3 S 2.27-2.32
Pb1 0.7452 0.4588 0.0941  4 S 2.80-3.09
Pb2 0.2548 0.5412 0.9059  4 S 2.80-3.09
S1 0.8669 0.8104 0.0551  2 As 2.32-2.36
S2 0.1331 0.1896 0.9449  2 As 2.32-2.36
S3 0.6825 0.0863 0.3322  1 Cu 2.26, 1 As 2.26
S4 0.3175 0.9137 0.6678  1 Cu 2.26, 1 As 2.26
S5 0.3700 0.7050 0.0803  1 As 2.29
S6 0.6300 0.2950 0.9197  1 As 2.29
S7 0.6782 0.5808 0.4267  1 As 2.27, 1 Cu 2.29
S8 0.3218 0.4192 0.5733  1 As 2.27, 1 Cu 2.29
S9 0.8545 0.6548 0.7406  1 As 2.28, 1 Cu 2.30
S10 0.1455 0.3452 0.2594  1 As 2.28, 1 Cu 2.30

For the total magnetization, the calculation gives 0.00 μB per cell. As for the space group: P-1, No. 2. The MP2020-corrected energy comes out at -4.545 eV/atom. The value obtained for the total energy is -85.87 eV/cell.